Record 1
A plane-wave DFT calculation with r2SCAN was carried out for TiFeSi after structural relaxation.

The value obtained for the formation energy from the elements is -0.639 eV per atom.

Unit cell a=7.2340 b=7.2340 c=7.2340 alpha=125.26 beta=79.32 gamma=127.45
With the nearest neighbours (Å) after each atom.
Fractional positions:
1 Ti 0.9998 0.2500 0.2498  5 Si 2.56-2.60, 6 Fe 2.73-2.82
2 Ti 0.0002 0.7500 0.7502  5 Si 2.56-2.60, 6 Fe 2.73-2.82
3 Ti 0.4040 0.3584 0.5455  5 Si 2.55-2.62, 6 Fe 2.73-2.84
4 Ti 0.4040 0.8589 0.0451  5 Si 2.55-2.62, 6 Fe 2.73-2.84
5 Ti 0.8129 0.8584 0.4545  5 Si 2.55-2.62, 6 Fe 2.73-2.84
6 Ti 0.8139 0.3589 0.9549  5 Si 2.55-2.62, 6 Fe 2.73-2.84
7 Fe 0.1520 0.2786 0.8722  4 Si 2.33-2.44
8 Fe 0.1520 0.7798 0.3734  4 Si 2.33-2.44
9 Fe 0.4064 0.2798 0.1278  4 Si 2.33-2.44
10 Fe 0.4064 0.7786 0.6266  4 Si 2.33-2.44
11 Fe 0.6611 0.1611 0.5000  4 Si 2.33-2.43
12 Fe 0.6611 0.6611 0.0000  4 Si 2.33-2.43
13 Si 0.0722 0.4054 0.6663  3 Fe 2.43-2.44, 6 Ti 2.55-2.56
14 Si 0.0722 0.9059 0.1668  3 Fe 2.43-2.44, 6 Ti 2.55-2.56
15 Si 0.4061 0.6566 0.2495  6 Fe 2.33, 1 Ti 2.60
16 Si 0.4071 0.1566 0.7505  6 Fe 2.33, 1 Ti 2.60
17 Si 0.7391 0.4059 0.3337  3 Fe 2.43-2.44, 6 Ti 2.55-2.56
18 Si 0.7391 0.9054 0.8332  3 Fe 2.43-2.44, 6 Ti 2.55-2.56

---

Record 2
A plane-wave DFT calculation with r2SCAN was carried out for Tm2FeSi2 after structural relaxation.

The value obtained for the formation energy from the elements is -0.667 eV per atom.

Unit cell a=5.5240 b=5.5240 c=9.7773 alpha=116.87 beta=116.87 gamma=43.48
With the nearest neighbours (Å) after each atom.
Fractional positions:
1 Tm 0.0010 0.0010 0.3293  7 Si 2.84-3.17, 4 Fe 2.86-3.03
2 Tm 0.1878 0.1878 0.1086  6 Si 2.80-3.11
3 Tm 0.8122 0.8122 0.8914  6 Si 2.80-3.11
4 Tm 0.9990 0.9990 0.6707  7 Si 2.84-3.17, 4 Fe 2.86-3.03
5 Fe 0.2700 0.2700 0.6236  4 Si 2.30-2.44
6 Fe 0.7300 0.7300 0.3764  4 Si 2.30-2.44
7 Si 0.3466 0.3466 0.4360  3 Fe 2.30-2.32
8 Si 0.4986 0.4986 0.1267  1 Fe 2.44, 1 Si 2.49
9 Si 0.5014 0.5014 0.8733  1 Fe 2.44, 1 Si 2.49
10 Si 0.6534 0.6534 0.5641  3 Fe 2.30-2.32

---

Record 3
A plane-wave DFT calculation with r2SCAN was carried out for TmFe2Si2 after structural relaxation.

The value obtained for the formation energy from the elements is -0.524 eV per atom.

Unit cell a=5.5922 b=5.5922 c=5.5922 alpha=139.70 beta=139.70 gamma=58.30
With the nearest neighbours (Å) after each atom.
Fractional positions:
1 Tm 0.0000 0.0000 0.0000  8 Si 2.99, 8 Fe 3.11
2 Fe 0.2500 0.7500 0.5000  4 Si 2.27
3 Fe 0.7500 0.2500 0.5000  4 Si 2.27
4 Si 0.3732 0.3732 0.0000  4 Fe 2.27, 1 Si 2.48
5 Si 0.6268 0.6268 0.0000  4 Fe 2.27, 1 Si 2.48

---

Record 4
A plane-wave DFT calculation with r2SCAN was carried out for Tm2Fe3Si5 after structural relaxation.

The value obtained for the formation energy from the elements is -0.566 eV per atom.

Unit cell a=10.2424 b=10.2424 c=5.3836 alpha=90.00 beta=90.00 gamma=90.00
With the nearest neighbours (Å) after each atom.
Fractional positions:
1 Tm 0.0695 0.2369 0.0000  9 Si 2.72-3.00, 2 Fe 3.03
2 Tm 0.2369 0.9305 0.0000  9 Si 2.72-3.00, 2 Fe 3.03
3 Tm 0.2631 0.4305 0.5000  9 Si 2.72-3.00, 2 Fe 3.03
4 Tm 0.4305 0.7369 0.5000  9 Si 2.72-3.00, 2 Fe 3.03
5 Tm 0.5695 0.2631 0.5000  9 Si 2.72-3.00, 2 Fe 3.03
6 Tm 0.7369 0.5695 0.5000  9 Si 2.72-3.00, 2 Fe 3.03
7 Tm 0.7631 0.0695 0.0000  9 Si 2.72-3.00, 2 Fe 3.03
8 Tm 0.9305 0.7631 0.0000  9 Si 2.72-3.00, 2 Fe 3.03
9 Fe 0.0000 0.5000 0.2500  4 Si 2.30
10 Fe 0.0000 0.5000 0.7500  4 Si 2.30
11 Fe 0.1233 0.8557 0.5000  6 Si 2.32-2.37
12 Fe 0.1443 0.1233 0.5000  6 Si 2.32-2.37
13 Fe 0.3557 0.6233 0.0000  6 Si 2.32-2.37
14 Fe 0.3767 0.3557 0.0000  6 Si 2.32-2.37
15 Fe 0.5000 0.0000 0.2500  4 Si 2.30
16 Fe 0.5000 0.0000 0.7500  4 Si 2.30
17 Fe 0.6233 0.6443 0.0000  6 Si 2.32-2.37
18 Fe 0.6443 0.3767 0.0000  6 Si 2.32-2.37
19 Fe 0.8557 0.8767 0.5000  6 Si 2.32-2.37
20 Fe 0.8767 0.1443 0.5000  6 Si 2.32-2.37
21 Si 0.0000 0.0000 0.2651  4 Fe 2.32, 1 Si 2.53
22 Si 0.0000 0.0000 0.7349  4 Fe 2.32, 1 Si 2.53
23 Si 0.0221 0.3198 0.5000  4 Fe 2.30-2.37, 2 Si 2.45
24 Si 0.1776 0.6776 0.2500  3 Fe 2.33-2.57, 2 Si 2.45
25 Si 0.1776 0.6776 0.7500  3 Fe 2.33-2.57, 2 Si 2.45
26 Si 0.1802 0.4779 0.0000  4 Fe 2.30-2.37, 2 Si 2.45
27 Si 0.3198 0.9779 0.5000  4 Fe 2.30-2.37, 2 Si 2.45
28 Si 0.3224 0.1776 0.2500  3 Fe 2.33-2.57, 2 Si 2.45
29 Si 0.3224 0.1776 0.7500  3 Fe 2.33-2.57, 2 Si 2.45
30 Si 0.4779 0.8198 0.0000  4 Fe 2.30-2.37, 2 Si 2.45
31 Si 0.5000 0.5000 0.2349  4 Fe 2.32, 1 Si 2.53
32 Si 0.5000 0.5000 0.7651  4 Fe 2.32, 1 Si 2.53
33 Si 0.5221 0.1802 0.0000  4 Fe 2.30-2.37, 2 Si 2.45
34 Si 0.6776 0.8224 0.2500  3 Fe 2.33-2.57, 2 Si 2.45
35 Si 0.6776 0.8224 0.7500  3 Fe 2.33-2.57, 2 Si 2.45
36 Si 0.6802 0.0221 0.5000  4 Fe 2.30-2.37, 2 Si 2.45
37 Si 0.8198 0.5221 0.0000  4 Fe 2.30-2.37, 2 Si 2.45
38 Si 0.8224 0.3224 0.2500  3 Fe 2.33-2.57, 2 Si 2.45
39 Si 0.8224 0.3224 0.7500  3 Fe 2.33-2.57, 2 Si 2.45
40 Si 0.9779 0.6802 0.5000  4 Fe 2.30-2.37, 2 Si 2.45

---

Record 5
A plane-wave DFT calculation with r2SCAN was carried out for Tm3FeSi3 after structural relaxation.

The value obtained for the formation energy from the elements is -0.730 eV per atom.

Unit cell a=5.5423 b=5.5423 c=13.2849 alpha=109.63 beta=109.63 gamma=43.39
With the nearest neighbours (Å) after each atom.
Fractional positions:
1 Tm 0.0254 0.0254 0.3802  7 Si 2.84-3.18, 4 Fe 2.87-3.07
2 Tm 0.1004 0.1004 0.9189  7 Si 2.89-3.04
3 Tm 0.2489 0.2489 0.2298  6 Si 2.81-3.10
4 Tm 0.7511 0.7511 0.7702  6 Si 2.81-3.10
5 Tm 0.8996 0.8996 0.0811  7 Si 2.89-3.04
6 Tm 0.9746 0.9746 0.6198  7 Si 2.84-3.18, 4 Fe 2.87-3.07
7 Fe 0.2529 0.2529 0.5840  4 Si 2.30-2.43
8 Fe 0.7471 0.7471 0.4160  4 Si 2.30-2.43
9 Si 0.3553 0.3553 0.4563  3 Fe 2.30
10 Si 0.3845 0.3845 0.9243  2 Si 2.50-2.51
11 Si 0.4445 0.4445 0.7574  1 Fe 2.43, 1 Si 2.51
12 Si 0.5555 0.5555 0.2426  1 Fe 2.43, 1 Si 2.51
13 Si 0.6155 0.6155 0.0757  2 Si 2.50-2.51
14 Si 0.6447 0.6447 0.5437  3 Fe 2.30

---

Record 6
A plane-wave DFT calculation with r2SCAN was carried out for UFe5Si3 after structural relaxation.

The value obtained for the formation energy from the elements is -0.316 eV per atom.

Unit cell a=3.9436 b=3.9436 c=7.8149 alpha=90.00 beta=90.00 gamma=90.00
With the nearest neighbours (Å) after each atom.
Fractional positions:
1 U 0.0000 0.0000 0.0000  8 Si 3.03, 8 Fe 3.14
2 Fe 0.0000 0.5000 0.3120  4 Si 2.34-2.46, 2 Fe 2.46
3 Fe 0.0000 0.5000 0.6880  4 Si 2.34-2.46, 2 Fe 2.46
4 Fe 0.5000 0.0000 0.3120  4 Si 2.34-2.46, 2 Fe 2.46
5 Fe 0.5000 0.0000 0.6880  4 Si 2.34-2.46, 2 Fe 2.46
6 Fe 0.5000 0.5000 0.5000  8 Fe 2.46, 2 Si 2.73
7 Si 0.0000 0.0000 0.5000  8 Fe 2.46
8 Si 0.5000 0.5000 0.1513  4 Fe 2.34, 1 Si 2.36
9 Si 0.5000 0.5000 0.8487  4 Fe 2.34, 1 Si 2.36

---

Record 7
A plane-wave DFT calculation with r2SCAN was carried out for UFeSi after structural relaxation.

The value obtained for the formation energy from the elements is -0.369 eV per atom.

Unit cell a=7.1720 b=4.2151 c=6.4833 alpha=90.00 beta=90.00 gamma=90.00
With the nearest neighbours (Å) after each atom.
Fractional positions:
1 U 0.0174 0.2500 0.1722  4 Fe 2.74-2.88, 5 Si 2.95-2.98
2 U 0.4826 0.7500 0.6722  4 Fe 2.74-2.88, 5 Si 2.95-2.98
3 U 0.5174 0.2500 0.3278  4 Fe 2.74-2.88, 5 Si 2.95-2.98
4 U 0.9826 0.7500 0.8278  4 Fe 2.74-2.88, 5 Si 2.95-2.98
5 Fe 0.1416 0.7500 0.4429  4 Si 2.41-2.44
6 Fe 0.3584 0.2500 0.9429  4 Si 2.41-2.44
7 Fe 0.6416 0.7500 0.0571  4 Si 2.41-2.44
8 Fe 0.8584 0.2500 0.5571  4 Si 2.41-2.44
9 Si 0.1945 0.2500 0.6135  4 Fe 2.41-2.44
10 Si 0.3055 0.7500 0.1135  4 Fe 2.41-2.44
11 Si 0.6945 0.2500 0.8865  4 Fe 2.41-2.44
12 Si 0.8055 0.7500 0.3865  4 Fe 2.41-2.44

---

Record 8
A plane-wave DFT calculation with r2SCAN was carried out for U3Fe2Si7 after structural relaxation.

The value obtained for the formation energy from the elements is -0.420 eV per atom.

Unit cell a=12.5121 b=12.5121 c=3.9882 alpha=90.00 beta=90.00 gamma=161.61
With the nearest neighbours (Å) after each atom.
Fractional positions:
1 U 0.0000 0.0000 0.0000  12 Si 2.82-2.92
2 U 0.3173 0.6827 0.5000  10 Si 2.98-3.11, 4 Fe 3.13
3 U 0.6827 0.3173 0.5000  10 Si 2.98-3.11, 4 Fe 3.13
4 Fe 0.1282 0.8718 0.0000  5 Si 2.25-2.30
5 Fe 0.8718 0.1282 0.0000  5 Si 2.25-2.30
6 Si 0.0862 0.9138 0.5000  2 Fe 2.25
7 Si 0.2214 0.7786 0.0000  1 Fe 2.30, 2 Si 2.45
8 Si 0.4141 0.5859 0.0000  2 Fe 2.26
9 Si 0.5000 0.5000 0.5000  4 U 2.82, 8 Si 2.91-2.92
10 Si 0.5859 0.4141 0.0000  2 Fe 2.26
11 Si 0.7786 0.2214 0.0000  1 Fe 2.30, 2 Si 2.45
12 Si 0.9138 0.0862 0.5000  2 Fe 2.25